No. 1
{"formula": "LiCu3C3O9", "functional": "PBE-GGA", "state": "relaxed", "de_polymorph_mev_per_atom": 22.6, "corrected_energy_ev_per_cell": -328.5, "sg": "P1, No. 1", "cell": [[-9.543, -0.760, -10.232], [3.051, -6.168, -12.234], [-1.117, -2.689, 1.327]], "species": ["O", "O", "O", "O", "O", "O", "O", "O", "O", "O", "O", "O", "O", "O", "O", "O", "O", "O", "O", "O", "O", "O", "O", "O", "O", "O", "O", "Cu", "Cu", "Cu", "Cu", "Cu", "Cu", "Cu", "Cu", "Cu", "Li", "Li", "Li", "C", "C", "C", "C", "C", "C", "C", "C", "C"], "fractional_positions": [[0.079, 0.015, 0.938], [0.364, 0.403, 0.072], [0.013, 0.898, 0.927], [0.903, 0.424, 0.488], [0.405, 0.227, 0.913], [0.229, 0.360, 0.029], [0.737, 0.347, 0.100], [0.079, 0.679, 0.170], [0.417, 0.029, 0.969], [0.550, 0.427, 0.032], [0.087, 0.321, 0.514], [0.911, 0.744, 0.883], [0.666, 0.573, 0.923], [0.435, 0.669, 0.525], [0.250, 0.780, 0.511], [0.662, 0.247, 0.839], [0.784, 0.978, 0.495], [0.237, 0.097, 0.142], [0.344, 0.918, 0.926], [0.567, 0.756, 0.082], [0.984, 0.241, 0.533], [0.753, 0.671, 0.035], [0.323, 0.599, 0.579], [0.682, 0.895, 0.477], [0.601, 0.077, 0.420], [0.899, 0.081, 0.068], [0.025, 0.559, 0.946], [0.109, 0.462, 0.447], [0.111, 0.090, 0.490], [0.441, 0.429, 0.577], [0.782, 0.129, 0.490], [0.449, 0.813, 0.501], [0.121, 0.770, 0.511], [0.758, 0.442, 0.529], [0.795, 0.739, 0.514], [0.445, 0.113, 0.433], [0.178, 0.251, 0.002], [0.874, 0.899, 0.975], [0.520, 0.584, 0.012], [0.652, 0.338, 0.992], [0.662, 0.667, 0.017], [0.333, 0.015, 0.011], [0.334, 0.330, 0.005], [0.990, 0.328, 0.511], [0.335, 0.682, 0.538], [0.997, 0.998, 0.978], [0.687, 0.984, 0.465], [0.005, 0.662, 0.998]]}

No. 2
{"formula": "ZrCu2O12F8", "functional": "PBE-GGA", "state": "relaxed", "de_polymorph_mev_per_atom": 0.0, "corrected_energy_ev_per_cell": -226.9, "sg": "C2/c, No. 15", "cell": [[-7.801, -2.290, -2.797], [-2.369, -7.999, -2.079], [-6.364, -4.906, 9.138]], "species": ["F", "F", "F", "F", "F", "F", "F", "F", "F", "F", "F", "F", "F", "F", "F", "F", "O", "O", "O", "O", "O", "O", "O", "O", "O", "O", "O", "O", "O", "O", "O", "O", "O", "O", "O", "O", "O", "O", "O", "O", "Cu", "Cu", "Cu", "Cu", "Zr", "Zr"], "fractional_positions": [[0.257, 0.530, 0.211], [0.470, 0.743, 0.289], [0.099, 0.331, 0.629], [0.275, 0.566, 0.410], [0.003, 0.932, 0.171], [0.530, 0.257, 0.711], [0.725, 0.434, 0.590], [0.997, 0.068, 0.829], [0.068, 0.997, 0.329], [0.669, 0.901, 0.871], [0.434, 0.725, 0.090], [0.331, 0.099, 0.129], [0.901, 0.669, 0.371], [0.932, 0.003, 0.671], [0.566, 0.275, 0.910], [0.743, 0.470, 0.789], [0.838, 0.395, 0.092], [0.900, 0.721, 0.640], [0.279, 0.155, 0.617], [0.721, 0.361, 0.356], [0.395, 0.838, 0.592], [0.264, 0.145, 0.372], [0.361, 0.721, 0.856], [0.639, 0.279, 0.144], [0.279, 0.639, 0.644], [0.605, 0.162, 0.408], [0.845, 0.721, 0.883], [0.155, 0.279, 0.117], [0.279, 0.100, 0.860], [0.721, 0.900, 0.140], [0.855, 0.736, 0.128], [0.162, 0.605, 0.908], [0.721, 0.845, 0.383], [0.100, 0.279, 0.360], [0.145, 0.264, 0.872], [0.752, 0.333, 0.060], [0.667, 0.248, 0.440], [0.333, 0.752, 0.560], [0.248, 0.667, 0.940], [0.736, 0.855, 0.628], [0.955, 0.269, 0.238], [0.269, 0.955, 0.738], [0.045, 0.731, 0.762], [0.731, 0.045, 0.262], [0.266, 0.734, 0.250], [0.734, 0.266, 0.750]]}

No. 3
{"formula": "Na4LaTaSi3O12", "functional": "PBE-GGA", "state": "relaxed", "corrected_energy_ev_per_cell": -962.5, "cell": [[-8.481, -4.147, -1.304], [5.829, 1.360, -7.415], [9.204, -19.948, 3.576]], "species": ["O", "O", "O", "O", "O", "O", "O", "O", "O", "O", "O", "O", "O", "O", "O", "O", "O", "O", "O", "O", "O", "O", "O", "O", "O", "O", "O", "O", "O", "O", "O", "O", "O", "O", "O", "O", "O", "O", "O", "O", "O", "O", "O", "O", "O", "O", "O", "O", "O", "O", "O", "O", "O", "O", "O", "O", "O", "O", "O", "O", "O", "O", "O", "O", "O", "O", "O", "O", "O", "O", "O", "O", "La", "La", "La", "La", "La", "La", "Na", "Na", "Na", "Na", "Na", "Na", "Na", "Na", "Na", "Na", "Na", "Na", "Na", "Na", "Na", "Na", "Na", "Na", "Na", "Na", "Na", "Na", "Na", "Na", "Si", "Si", "Si", "Si", "Si", "Si", "Si", "Si", "Si", "Si", "Si", "Si", "Si", "Si", "Si", "Si", "Si", "Si", "Ta", "Ta", "Ta", "Ta", "Ta", "Ta"], "fractional_positions": [[0.987, 0.765, 0.814], [0.537, 0.684, 0.577], [0.480, 0.130, 0.244], [0.870, 0.350, 0.244], [0.516, 0.714, 0.254], [0.849, 0.468, 0.421], [0.445, 0.099, 0.647], [0.031, 0.839, 0.696], [0.147, 0.684, 0.077], [0.235, 0.013, 0.314], [0.286, 0.802, 0.254], [0.698, 0.173, 0.030], [0.568, 0.680, 0.981], [0.475, 0.302, 0.030], [0.808, 0.969, 0.696], [0.198, 0.484, 0.254], [0.147, 0.463, 0.577], [0.112, 0.680, 0.481], [0.204, 0.017, 0.910], [0.183, 0.047, 0.587], [0.778, 0.765, 0.314], [0.320, 0.432, 0.481], [0.532, 0.381, 0.421], [0.813, 0.796, 0.910], [0.983, 0.187, 0.910], [0.778, 0.013, 0.814], [0.031, 0.192, 0.196], [0.475, 0.173, 0.530], [0.987, 0.222, 0.314], [0.619, 0.151, 0.421], [0.901, 0.555, 0.147], [0.849, 0.381, 0.921], [0.568, 0.888, 0.481], [0.537, 0.853, 0.077], [0.365, 0.859, 0.863], [0.532, 0.151, 0.921], [0.808, 0.839, 0.196], [0.161, 0.192, 0.696], [0.445, 0.347, 0.147], [0.653, 0.099, 0.147], [0.865, 0.047, 0.087], [0.953, 0.817, 0.087], [0.112, 0.432, 0.981], [0.198, 0.714, 0.754], [0.901, 0.347, 0.647], [0.983, 0.796, 0.410], [0.953, 0.135, 0.587], [0.141, 0.635, 0.363], [0.865, 0.817, 0.587], [0.870, 0.520, 0.744], [0.480, 0.350, 0.744], [0.494, 0.635, 0.863], [0.365, 0.506, 0.363], [0.827, 0.525, 0.030], [0.204, 0.187, 0.410], [0.141, 0.506, 0.863], [0.650, 0.520, 0.244], [0.494, 0.859, 0.363], [0.316, 0.853, 0.577], [0.698, 0.525, 0.530], [0.650, 0.130, 0.744], [0.286, 0.484, 0.754], [0.235, 0.222, 0.814], [0.316, 0.463, 0.077], [0.516, 0.802, 0.754], [0.161, 0.969, 0.196], [0.619, 0.468, 0.921], [0.813, 0.017, 0.410], [0.183, 0.135, 0.087], [0.827, 0.302, 0.530], [0.320, 0.888, 0.981], [0.653, 0.555, 0.647], [0.000, 0.000, 0.342], [0.333, 0.667, 0.009], [0.333, 0.667, 0.509], [0.667, 0.333, 0.675], [0.000, 0.000, 0.842], [0.667, 0.333, 0.175], [0.333, 0.667, 0.163], [0.333, 0.667, 0.663], [0.654, 0.965, 0.579], [0.035, 0.688, 0.579], [0.368, 0.355, 0.245], [0.667, 0.333, 0.830], [0.987, 0.632, 0.245], [0.645, 0.013, 0.245], [0.667, 0.333, 0.330], [0.654, 0.688, 0.079], [0.000, 0.000, 0.496], [0.000, 0.000, 0.996], [0.320, 0.022, 0.412], [0.312, 0.346, 0.579], [0.701, 0.680, 0.412], [0.701, 0.022, 0.912], [0.645, 0.632, 0.745], [0.368, 0.013, 0.745], [0.978, 0.680, 0.912], [0.320, 0.299, 0.912], [0.035, 0.346, 0.079], [0.987, 0.355, 0.745], [0.312, 0.965, 0.079], [0.978, 0.299, 0.412], [0.296, 0.313, 0.751], [0.354, 0.038, 0.584], [0.629, 0.649, 0.918], [0.020, 0.371, 0.918], [0.351, 0.980, 0.918], [0.351, 0.371, 0.418], [0.684, 0.038, 0.084], [0.017, 0.704, 0.751], [0.962, 0.316, 0.584], [0.020, 0.649, 0.418], [0.684, 0.646, 0.584], [0.354, 0.316, 0.084], [0.017, 0.313, 0.251], [0.687, 0.704, 0.251], [0.296, 0.983, 0.251], [0.629, 0.980, 0.418], [0.962, 0.646, 0.084], [0.687, 0.983, 0.751], [0.000, 0.000, 0.648], [0.333, 0.667, 0.815], [0.667, 0.333, 0.481], [0.667, 0.333, 0.981], [0.333, 0.667, 0.315], [0.000, 0.000, 0.148]]}

No. 4
{"formula": "ErSnPt", "functional": "PBE-GGA", "state": "relaxed", "sg": "P-62m, No. 189", "cell": [[0.000, 0.000, -3.988], [-3.754, -6.501, 0.000], [-3.754, 6.501, 0.000]], "species": ["Pt", "Pt", "Pt", "Sn", "Sn", "Sn", "Er", "Er", "Er"], "fractional_positions": [[0.500, 0.000, 0.000], [0.000, 0.333, 0.667], [0.000, 0.667, 0.333], [0.000, 0.000, 0.742], [0.000, 0.258, 0.258], [0.000, 0.742, 0.000], [0.500, 0.408, 0.000], [0.500, 0.592, 0.592], [0.500, 0.000, 0.408]]}

No. 5
{"formula": "Cr5S8", "functional": "PBE-GGA", "state": "relaxed", "de_polymorph_mev_per_atom": 9.3, "corrected_energy_ev_per_cell": -281.9, "sg": "P-1, No. 2", "cell": [[-8.870, 0.000, 0.000], [-0.836, -8.833, 0.000], [4.019, 3.661, 8.804]], "species": ["S", "S", "S", "S", "S", "S", "S", "S", "S", "S", "S", "S", "S", "S", "S", "S", "S", "S", "S", "S", "S", "S", "S", "S", "Cr", "Cr", "Cr", "Cr", "Cr", "Cr", "Cr", "Cr", "Cr", "Cr", "Cr", "Cr", "Cr", "Cr", "Cr"], "fractional_positions": [[0.956, 0.779, 0.913], [0.446, 0.290, 0.246], [0.797, 0.465, 0.926], [0.458, 0.281, 0.916], [0.697, 0.039, 0.750], [0.205, 0.532, 0.416], [0.547, 0.716, 0.426], [0.708, 0.034, 0.416], [0.052, 0.208, 0.749], [0.948, 0.792, 0.251], [0.453, 0.284, 0.574], [0.554, 0.710, 0.754], [0.542, 0.719, 0.084], [0.051, 0.214, 0.428], [0.200, 0.540, 0.750], [0.203, 0.535, 0.074], [0.292, 0.966, 0.584], [0.297, 0.961, 0.926], [0.703, 0.039, 0.074], [0.949, 0.786, 0.572], [0.303, 0.961, 0.250], [0.044, 0.221, 0.087], [0.800, 0.460, 0.250], [0.795, 0.468, 0.584], [0.252, 0.253, 0.336], [0.512, 0.020, 0.176], [0.253, 0.248, 0.002], [0.748, 0.747, 0.664], [0.000, 0.000, 0.500], [0.730, 0.739, 0.326], [0.000, 0.500, 0.500], [0.984, 0.484, 0.818], [0.747, 0.752, 0.998], [0.250, 0.749, 0.001], [0.016, 0.516, 0.182], [0.270, 0.261, 0.674], [0.750, 0.251, 0.999], [0.488, 0.980, 0.824], [0.500, 0.000, 0.500]]}

No. 6
{"formula": "Mg16Si8HO32", "functional": "PBE-GGA", "state": "relaxed", "de_polymorph_mev_per_atom": 28.6, "corrected_energy_ev_per_cell": -406.7, "sg": "Pm, No. 6", "cell": [[-0.527, -2.960, -5.278], [6.566, -6.450, 2.962], [-7.524, -6.008, 4.119]], "species": ["H", "Mg", "Mg", "Mg", "Mg", "Mg", "Mg", "Mg", "Mg", "Mg", "Mg", "Mg", "Mg", "Mg", "Mg", "Mg", "Mg", "O", "O", "O", "O", "O", "O", "O", "O", "O", "O", "O", "O", "O", "O", "O", "O", "O", "O", "O", "O", "O", "O", "O", "O", "O", "O", "O", "O", "O", "O", "O", "O", "Si", "Si", "Si", "Si", "Si", "Si", "Si", "Si"], "fractional_positions": [[0.000, 0.348, 0.350], [0.000, 0.497, 0.725], [0.000, 0.992, 0.721], [0.257, 0.995, 0.994], [0.500, 0.742, 0.779], [0.255, 0.498, 0.001], [0.500, 0.004, 0.276], [0.739, 0.245, 0.510], [0.261, 0.245, 0.510], [0.258, 0.756, 0.503], [0.500, 0.249, 0.780], [0.742, 0.756, 0.503], [0.000, 0.233, 0.196], [0.745, 0.498, 0.001], [0.500, 0.500, 0.279], [0.743, 0.995, 0.994], [0.000, 0.755, 0.219], [0.711, 0.860, 0.161], [0.224, 0.613, 0.343], [0.721, 0.390, 0.666], [0.776, 0.613, 0.343], [0.287, 0.356, 0.160], [0.000, 0.869, 0.407], [0.000, 0.624, 0.559], [0.000, 0.379, 0.908], [0.721, 0.887, 0.664], [0.788, 0.137, 0.832], [0.500, 0.615, 0.095], [0.500, 0.857, 0.947], [0.778, 0.113, 0.337], [0.279, 0.887, 0.664], [0.500, 0.388, 0.452], [0.500, 0.361, 0.947], [0.000, 0.880, 0.905], [0.500, 0.634, 0.592], [0.500, 0.132, 0.597], [0.000, 0.379, 0.445], [0.789, 0.636, 0.839], [0.289, 0.860, 0.161], [0.211, 0.636, 0.839], [0.000, 0.108, 0.552], [0.000, 0.128, 0.041], [0.500, 0.894, 0.450], [0.713, 0.356, 0.160], [0.279, 0.390, 0.666], [0.000, 0.638, 0.052], [0.222, 0.113, 0.337], [0.212, 0.137, 0.832], [0.500, 0.114, 0.087], [0.000, 0.711, 0.906], [0.500, 0.464, 0.595], [0.000, 0.210, 0.898], [0.000, 0.553, 0.416], [0.500, 0.284, 0.091], [0.500, 0.963, 0.597], [0.500, 0.784, 0.094], [0.000, 0.038, 0.405]]}

Number 1: formation enthalpy at 0 K -1.4413 eV per atom. Number 2: formation enthalpy at 0 K -0.9573 eV per atom. Number 3: formation enthalpy at 0 K -2.9851 eV per atom. Number 4: formation enthalpy at 0 K -1.0870 eV per atom. Number 5: formation enthalpy at 0 K -0.9700 eV per atom. Number 6: formation enthalpy at 0 K -3.0876 eV per atom.